[1]
DFT (PBE with a Hubbard U) results for crystalline Na16W3N4O12 at its relaxed geometry.

Cell lengths 6.870, 9.032, 10.020 Å; angles 106.99, 89.63, 102.35 degrees
Atoms (fractional coordinates):
O: 0.142 0.646 0.656
O: 0.680 0.623 0.642
O: 0.545 0.192 0.058
O: 0.873 0.419 0.857
O: 0.036 0.185 0.505
O: 0.637 0.646 0.184
O: 0.874 0.372 0.343
O: 0.188 0.637 0.171
O: 0.318 0.379 0.360
O: 0.457 0.805 0.996
O: 0.961 0.810 0.487
O: 0.331 0.393 0.831
Na: 0.370 0.361 0.040
Na: 0.265 0.022 0.516
Na: 0.465 0.819 0.752
Na: 0.536 0.183 0.268
Na: 0.634 0.547 0.880
Na: 0.037 0.216 0.786
Na: 0.259 0.015 0.990
Na: 0.346 0.432 0.626
Na: 0.754 0.030 0.999
Na: 0.157 0.579 0.893
Na: 0.158 0.608 0.393
Na: 0.966 0.815 0.233
Na: 0.803 0.390 0.062
Na: 0.647 0.546 0.376
Na: 0.743 0.987 0.486
Na: 0.817 0.366 0.634
W: 0.442 0.758 0.167
W: 0.061 0.247 0.342
W: 0.937 0.754 0.656
N: 0.968 0.927 0.805
N: 0.472 0.933 0.314
N: 0.025 0.075 0.191
N: 0.535 0.044 0.664

Computed properties:
E_form = -1.276 eV/atom
V = 579.8 Å³/cell
magnetization = 2.0 μB per formula unit

---

[2]
DFT (PBE with a Hubbard U) results for crystalline Na3WNO3 at its relaxed geometry.

Cell lengths 5.692, 6.368, 7.393 Å; angles 90.00, 90.00, 90.00 degrees
Atoms (fractional coordinates):
W: 0.503 0.828 0.500
W: 0.003 0.172 0.000
Na: 0.021 0.670 0.754
Na: 0.521 0.330 0.254
Na: 0.521 0.330 0.746
Na: 0.021 0.670 0.246
Na: 0.018 0.157 0.500
Na: 0.518 0.843 0.000
O: 0.603 0.688 0.291
O: 0.103 0.312 0.209
O: 0.603 0.688 0.709
O: 0.602 0.109 0.500
O: 0.103 0.312 0.791
O: 0.102 0.891 0.000
N: 0.189 0.824 0.500
N: 0.689 0.176 0.000

Computed properties:
E_form = -1.601 eV/atom
V = 268.0 Å³/cell
magnetization = 0.0 μB per formula unit

---

Question: Look up the E_form of the second one.
Answer: -1.601 eV/atom